# Ti2O GGA-PBE relaxed
data_Ti2O
_cell_length_a 10.578
_cell_length_b 11.246
_cell_length_c 11.555
_cell_angle_alpha 90.54
_cell_angle_beta 91.21
_cell_angle_gamma 91.90
_symmetry_space_group_name_H-M 'P 1'
_symmetry_Int_Tables_number 1
_symmetry_space_group_name_Hall 'P 1'
loop_
_atom_site_label
_atom_site_type_symbol
_atom_site_fract_x
_atom_site_fract_y
_atom_site_fract_z
_atom_site_occupancy
Ti1 Ti 0.000 0.000 0.000 1
Ti2 Ti 0.002 0.178 0.578 1
Ti3 Ti 0.066 0.934 0.207 1
Ti4 Ti 0.072 0.450 0.579 1
Ti5 Ti 0.087 0.398 0.137 1
Ti6 Ti 0.111 0.695 0.055 1
Ti7 Ti 0.125 0.869 0.423 1
Ti8 Ti 0.126 0.133 0.374 1
Ti9 Ti 0.148 0.315 0.927 1
Ti10 Ti 0.170 0.825 0.770 1
Ti11 Ti 0.177 0.559 0.348 1
Ti12 Ti 0.185 0.154 0.105 1
Ti13 Ti 0.189 0.008 0.617 1
Ti14 Ti 0.219 0.066 0.854 1
Ti15 Ti 0.234 0.266 0.698 1
Ti16 Ti 0.235 0.542 0.832 1
Ti17 Ti 0.254 0.775 0.265 1
Ti18 Ti 0.269 0.922 0.051 1
Ti19 Ti 0.291 0.724 0.561 1
Ti20 Ti 0.311 0.025 0.280 1
Ti21 Ti 0.345 0.175 0.513 1
Ti22 Ti 0.356 0.753 0.918 1
Ti23 Ti 0.357 0.456 0.549 1
Ti24 Ti 0.369 0.623 0.136 1
Ti25 Ti 0.376 0.350 0.100 1
Ti26 Ti 0.409 0.453 0.310 1
Ti27 Ti 0.410 0.230 0.888 1
Ti28 Ti 0.422 0.922 0.455 1
Ti29 Ti 0.454 0.971 0.694 1
Ti30 Ti 0.471 0.671 0.388 1
Ti31 Ti 0.472 0.218 0.324 1
Ti32 Ti 0.478 0.495 0.916 1
Ti33 Ti 0.483 0.106 0.110 1
Ti34 Ti 0.486 0.670 0.737 1
Ti35 Ti 0.487 0.854 0.179 1
Ti36 Ti 0.496 0.969 0.931 1
Ti37 Ti 0.559 0.359 0.720 1
Ti38 Ti 0.583 0.125 0.542 1
Ti39 Ti 0.588 0.727 0.993 1
Ti40 Ti 0.591 0.513 0.141 1
Ti41 Ti 0.626 0.542 0.565 1
Ti42 Ti 0.635 0.012 0.303 1
Ti43 Ti 0.644 0.314 0.948 1
Ti44 Ti 0.663 0.815 0.531 1
Ti45 Ti 0.679 0.139 0.785 1
Ti46 Ti 0.700 0.745 0.275 1
Ti47 Ti 0.709 0.280 0.201 1
Ti48 Ti 0.712 0.855 0.783 1
Ti49 Ti 0.714 0.562 0.853 1
Ti50 Ti 0.732 0.088 0.018 1
Ti51 Ti 0.755 0.513 0.347 1
Ti52 Ti 0.777 0.015 0.606 1
Ti53 Ti 0.782 0.272 0.449 1
Ti54 Ti 0.798 0.904 0.144 1
Ti55 Ti 0.819 0.460 0.083 1
Ti56 Ti 0.836 0.676 0.061 1
Ti57 Ti 0.841 0.343 0.717 1
Ti58 Ti 0.856 0.633 0.678 1
Ti59 Ti 0.875 0.692 0.456 1
Ti60 Ti 0.891 0.957 0.386 1
Ti61 Ti 0.901 0.261 0.985 1
Ti62 Ti 0.930 0.139 0.197 1
Ti63 Ti 0.945 0.770 0.870 1
Ti64 Ti 0.951 0.848 0.633 1
Ti65 Ti 0.952 0.032 0.785 1
Ti66 Ti 0.967 0.504 0.884 1
Ti67 Ti 0.969 0.365 0.336 1
Ti68 Ti 0.977 0.702 0.259 1
O1 O 0.095 0.248 0.250 1
O2 O 0.109 0.130 0.722 1
O3 O 0.131 0.827 0.939 1
O4 O 0.138 0.826 0.594 1
O5 O 0.194 0.570 0.518 1
O6 O 0.218 0.436 0.690 1
O7 O 0.253 0.014 0.451 1
O8 O 0.255 0.463 0.205 1
O9 O 0.261 0.615 0.990 1
O10 O 0.293 0.695 0.747 1
O11 O 0.317 0.396 0.927 1
O12 O 0.346 0.194 0.194 1
O13 O 0.349 0.078 0.983 1
O14 O 0.390 0.333 0.434 1
O15 O 0.448 0.621 0.565 1
O16 O 0.520 0.821 0.836 1
O17 O 0.540 0.363 0.229 1
O18 O 0.561 0.844 0.358 1
O19 O 0.616 0.979 0.106 1
O20 O 0.642 0.179 0.378 1
O21 O 0.669 0.257 0.636 1
O22 O 0.671 0.686 0.686 1
O23 O 0.675 0.658 0.434 1
O24 O 0.685 0.414 0.471 1
O25 O 0.758 0.742 0.916 1
O26 O 0.855 0.108 0.479 1
O27 O 0.856 0.159 0.707 1
O28 O 0.903 0.322 0.160 1
O29 O 0.933 0.343 0.528 1
O30 O 0.950 0.547 0.371 1
O31 O 0.959 0.494 0.706 1
O32 O 0.959 0.820 0.098 1
O33 O 0.981 0.323 0.843 1
O34 O 0.988 0.565 0.111 1
# Size of the total moment = 0.009 μB per cell
# Formation energy = -1.712 eV/atom

---

# TiO GGA-PBE relaxed
data_TiO
_cell_length_a 9.341
_cell_length_b 4.174
_cell_length_c 5.846
_cell_angle_alpha 90.00
_cell_angle_beta 107.31
_cell_angle_gamma 90.00
_symmetry_space_group_name_H-M 'C 1 2/m 1'
_symmetry_Int_Tables_number 12
_symmetry_space_group_name_Hall '-C 2y'
loop_
_atom_site_label
_atom_site_type_symbol
_atom_site_fract_x
_atom_site_fract_y
_atom_site_fract_z
_atom_site_occupancy
Ti1 Ti 0.000 0.000 0.000 1
Ti2 Ti 0.150 0.500 0.826 1
Ti3 Ti 0.163 0.500 0.328 1
O1 O 0.000 0.500 0.500 1
O2 O 0.171 0.000 0.843 1
O3 O 0.172 0.000 0.331 1
# Formation energy = -2.865 eV/atom

---

# TiO2 GGA-PBE relaxed
data_TiO2
_cell_length_a 5.3314
_cell_length_b 5.3314
_cell_length_c 3.1316
_cell_angle_alpha 90.00
_cell_angle_beta 90.00
_cell_angle_gamma 120.00
_symmetry_space_group_name_H-M 'P -6 2 m'
_symmetry_Int_Tables_number 189
_symmetry_space_group_name_Hall 'P -6 -2'
loop_
_atom_site_label
_atom_site_type_symbol
_atom_site_fract_x
_atom_site_fract_y
_atom_site_fract_z
_atom_site_occupancy
Ti1 Ti 0.0000 0.0000 0.0000 1
Ti2 Ti 0.3333 0.6667 0.5000 1
O1 O 0.0000 0.2626 0.5000 1
O2 O 0.0000 0.6018 0.0000 1
# Size of the total moment = 0.000 μB per cell
# Formation energy = -3.175 eV/atom

---

# TiO2 GGA-PBE relaxed
data_TiO2
_cell_length_a 6.0208
_cell_length_b 6.0208
_cell_length_c 14.7842
_cell_angle_alpha 90.00
_cell_angle_beta 90.00
_cell_angle_gamma 120.00
_symmetry_space_group_name_H-M 'P 3 m 1'
_symmetry_Int_Tables_number 156
_symmetry_space_group_name_Hall 'P 3 -2"'
loop_
_atom_site_label
_atom_site_type_symbol
_atom_site_fract_x
_atom_site_fract_y
_atom_site_fract_z
_atom_site_occupancy
Ti1 Ti 0.0000 0.0000 0.0000 1
Ti2 Ti 0.0000 0.0000 0.3632 1
Ti3 Ti 0.1777 0.3554 0.2085 1
Ti4 Ti 0.3248 0.1624 0.5389 1
Ti5 Ti 0.5051 0.0102 0.8761 1
Ti6 Ti 0.6667 0.3333 0.6971 1
O1 O 0.0000 0.0000 0.1275 1
O2 O 0.0000 0.0000 0.6113 1
O3 O 0.0236 0.5118 0.1491 1
O4 O 0.1478 0.2956 0.4716 1
O5 O 0.1611 0.3221 0.9482 1
O6 O 0.2845 0.1423 0.2907 1
O7 O 0.3333 0.6667 0.2825 1
O8 O 0.3333 0.6667 0.8204 1
O9 O 0.3799 0.1899 0.8041 1
O10 O 0.5221 0.0442 0.6248 1
O11 O 0.6667 0.3333 0.4793 1
O12 O 0.6667 0.3333 0.9476 1
# Size of the total moment = 0.000 μB per cell
# Formation energy = -3.331 eV/atom

---

# TiO2 GGA-PBE relaxed
data_TiO2
_cell_length_a 4.844
_cell_length_b 9.442
_cell_length_c 4.996
_cell_angle_alpha 90.00
_cell_angle_beta 90.00
_cell_angle_gamma 90.00
_symmetry_space_group_name_H-M 'P b c a'
_symmetry_Int_Tables_number 61
_symmetry_space_group_name_Hall '-P 2ac 2ab'
loop_
_atom_site_label
_atom_site_type_symbol
_atom_site_fract_x
_atom_site_fract_y
_atom_site_fract_z
_atom_site_occupancy
Ti1 Ti 0.250 0.115 0.042 1
O1 O 0.004 0.026 0.737 1
O2 O 0.138 0.711 0.376 1
# Size of the total moment = 0.000 μB per cell
# Formation energy = -3.384 eV/atom

---

# Ti2O GGA-PBE relaxed
data_Ti2O
_cell_length_a 2.9828
_cell_length_b 2.9828
_cell_length_c 4.8035
_cell_angle_alpha 90.00
_cell_angle_beta 90.00
_cell_angle_gamma 120.00
_symmetry_space_group_name_H-M 'P -3 m 1'
_symmetry_Int_Tables_number 164
_symmetry_space_group_name_Hall '-P 3 2"'
loop_
_atom_site_label
_atom_site_type_symbol
_atom_site_fract_x
_atom_site_fract_y
_atom_site_fract_z
_atom_site_occupancy
Ti1 Ti 0.3333 0.6667 0.2670 1
O1 O 0.0000 0.0000 0.0000 1
# Formation energy = -2.036 eV/atom

---

# Ti8O15 GGA-PBE relaxed
data_Ti8O15
_cell_length_a 5.584
_cell_length_b 7.195
_cell_length_c 13.493
_cell_angle_alpha 100.31
_cell_angle_beta 96.33
_cell_angle_gamma 108.65
_symmetry_space_group_name_H-M 'P -1'
_symmetry_Int_Tables_number 2
_symmetry_space_group_name_Hall '-P 1'
loop_
_atom_site_label
_atom_site_type_symbol
_atom_site_fract_x
_atom_site_fract_y
_atom_site_fract_z
_atom_site_occupancy
Ti1 Ti 0.007 0.309 0.310 1
Ti2 Ti 0.011 0.810 0.309 1
Ti3 Ti 0.275 0.779 0.952 1
Ti4 Ti 0.277 0.278 0.955 1
Ti5 Ti 0.330 0.399 0.564 1
Ti6 Ti 0.335 0.899 0.564 1
Ti7 Ti 0.354 0.026 0.180 1
Ti8 Ti 0.356 0.531 0.181 1
O1 O 0.013 0.650 0.841 1
O2 O 0.036 0.278 0.446 1
O3 O 0.071 0.855 0.048 1
O4 O 0.085 0.447 0.654 1
O5 O 0.104 0.066 0.257 1
O6 O 0.231 0.139 0.610 1
O7 O 0.266 0.765 0.217 1
O8 O 0.283 0.324 0.821 1
O9 O 0.303 0.930 0.422 1
O10 O 0.311 0.557 0.024 1
O11 O 0.353 0.857 0.712 1
O12 O 0.376 0.480 0.312 1
O13 O 0.411 0.049 0.920 1
O14 O 0.415 0.261 0.108 1
O15 O 0.431 0.656 0.524 1
# Formation energy = -3.445 eV/atom

---

# Ti4Tl2O9 GGA-PBE relaxed
data_Ti4Tl2O9
_cell_length_a 19.425
_cell_length_b 3.800
_cell_length_c 12.215
_cell_angle_alpha 90.00
_cell_angle_beta 106.77
_cell_angle_gamma 90.00
_symmetry_space_group_name_H-M 'C 1 2/m 1'
_symmetry_Int_Tables_number 12
_symmetry_space_group_name_Hall '-C 2y'
loop_
_atom_site_label
_atom_site_type_symbol
_atom_site_fract_x
_atom_site_fract_y
_atom_site_fract_z
_atom_site_occupancy
Ti1 Ti 0.128 0.000 0.363 1
Ti2 Ti 0.165 0.000 0.124 1
Ti3 Ti 0.204 0.000 0.897 1
Ti4 Ti 0.246 0.000 0.667 1
Tl1 Tl 0.013 0.500 0.826 1
Tl2 Tl 0.083 0.500 0.589 1
O1 O 0.042 0.000 0.377 1
O2 O 0.090 0.000 0.182 1
O3 O 0.128 0.000 0.963 1
O4 O 0.155 0.500 0.356 1
O5 O 0.166 0.000 0.743 1
O6 O 0.185 0.000 0.528 1
O7 O 0.194 0.500 0.141 1
O8 O 0.231 0.500 0.922 1
O9 O 0.232 0.000 0.299 1
# Formation energy = -3.006 eV/atom

---

# Tm10Ti6O27 GGA-PBE relaxed
data_Tm10Ti6O27
_cell_length_a 12.554
_cell_length_b 7.244
_cell_length_c 23.961
_cell_angle_alpha 90.00
_cell_angle_beta 99.43
_cell_angle_gamma 90.00
_symmetry_space_group_name_H-M 'C 1 m 1'
_symmetry_Int_Tables_number 8
_symmetry_space_group_name_Hall 'C -2y'
loop_
_atom_site_label
_atom_site_type_symbol
_atom_site_fract_x
_atom_site_fract_y
_atom_site_fract_z
_atom_site_occupancy
Tm1 Tm 0.000 0.000 0.000 1
Tm2 Tm 0.000 0.246 0.237 1
Tm3 Tm 0.008 0.500 0.997 1
Tm4 Tm 0.099 0.500 0.357 1
Tm5 Tm 0.131 0.500 0.862 1
Tm6 Tm 0.137 0.000 0.852 1
Tm7 Tm 0.234 0.000 0.720 1
Tm8 Tm 0.250 0.500 0.242 1
Tm9 Tm 0.251 0.258 0.474 1
Tm10 Tm 0.254 0.264 0.984 1
Tm11 Tm 0.255 0.500 0.742 1
Tm12 Tm 0.345 0.000 0.598 1
Tm13 Tm 0.356 0.500 0.112 1
Tm14 Tm 0.379 0.500 0.605 1
Tm15 Tm 0.493 0.256 0.732 1
Tm16 Tm 0.494 0.000 0.487 1
Ti1 Ti 0.122 0.244 0.110 1
Ti2 Ti 0.122 0.264 0.607 1
Ti3 Ti 0.124 0.000 0.359 1
Ti4 Ti 0.248 0.000 0.232 1
Ti5 Ti 0.366 0.000 0.107 1
Ti6 Ti 0.371 0.251 0.357 1
Ti7 Ti 0.373 0.250 0.862 1
Ti8 Ti 0.488 0.500 0.484 1
O1 O 0.011 0.227 0.846 1
O2 O 0.012 0.207 0.334 1
O3 O 0.034 0.186 0.535 1
O4 O 0.051 0.000 0.098 1
O5 O 0.073 0.500 0.577 1
O6 O 0.082 0.500 0.769 1
O7 O 0.089 0.500 0.266 1
O8 O 0.099 0.000 0.762 1
O9 O 0.104 0.235 0.023 1
O10 O 0.109 0.000 0.440 1
O11 O 0.124 0.000 0.276 1
O12 O 0.139 0.500 0.449 1
O13 O 0.142 0.500 0.953 1
O14 O 0.154 0.215 0.192 1
O15 O 0.159 0.289 0.685 1
O16 O 0.169 0.500 0.112 1
O17 O 0.178 0.000 0.625 1
O18 O 0.218 0.236 0.893 1
O19 O 0.220 0.207 0.376 1
O20 O 0.249 0.284 0.574 1
O21 O 0.277 0.216 0.103 1
O22 O 0.307 0.500 0.839 1
O23 O 0.312 0.500 0.336 1
O24 O 0.322 0.207 0.273 1
O25 O 0.331 0.000 0.508 1
O26 O 0.334 0.000 0.017 1
O27 O 0.338 0.000 0.853 1
O28 O 0.338 0.217 0.762 1
O29 O 0.343 0.500 0.022 1
O30 O 0.344 0.500 0.506 1
O31 O 0.380 0.000 0.193 1
O32 O 0.394 0.500 0.697 1
O33 O 0.403 0.500 0.205 1
O34 O 0.412 0.273 0.436 1
O35 O 0.422 0.260 0.943 1
O36 O 0.423 0.000 0.366 1
O37 O 0.453 0.223 0.637 1
O38 O 0.480 0.179 0.108 1
# Size of the total moment = 0.000 μB per cell
# Formation energy = -3.788 eV/atom

---

Q: Look up the formation energy of the seventh one.
A: -3.445 eV/atom

---

Q: formation energy of number 9 (Tm10Ti6O27)?
A: -3.788 eV/atom

---

Q: Look up the formation energy of the sixth one.
A: -2.036 eV/atom